VASP calculation (GGA-PBE) on a relaxed KSi7H62C25O6 crystal.

a = 10.7588 Å, b = 20.3449 Å, c = 21.9867 Å
α = 90.00°, β = 90.66°, γ = 90.00°
Closest atoms and distances in Å follow each position.
Element x y z (fractional)
H 0.0618 0.1882 0.0201  1 C 1.10
C 0.6559 0.5401 0.7163  2 H 1.11
H 0.7672 0.7825 0.2618  1 C 1.10
C 0.9465 0.0243 0.4168  2 H 1.10-1.11
H 0.9403 0.3440 0.0097  1 C 1.10
H 0.1870 0.2661 0.1615  1 C 1.10
H 0.0585 0.9720 0.0494  1 C 1.11
C 0.2432 0.4877 0.1251  2 H 1.10-1.11
H 0.6120 0.0770 0.5983  1 C 1.10
H 0.9415 0.4720 0.4506  1 C 1.11
C 0.1966 0.0314 0.1311  2 H 1.10-1.11
H 0.4603 0.8908 0.5873  1 C 1.10
C 0.1966 0.4686 0.6311  2 H 1.10-1.11
H 0.9403 0.1560 0.5097  1 C 1.10
H 0.7588 0.8778 0.1805  1 C 1.11
H 0.3655 0.3399 0.5630  1 C 1.10
H 0.3341 0.0777 0.8744  1 C 1.11
H 0.3087 0.5248 0.6941  1 C 1.11
C 0.3759 0.5794 0.9512  3 H 1.10
Si 0.1213 0.7572 0.9316  2 C 1.91
O 0.2669 0.4628 0.2306  2 C 1.42-1.43
H 0.8939 0.2538 0.3305  1 C 1.10
C 0.0584 0.4326 0.9065  2 H 1.10-1.11
H 0.5397 0.1092 0.4127  1 C 1.10
H 0.1061 0.7462 0.6695  1 C 1.10
H 0.6092 0.5742 0.2164  1 C 1.11
H 0.3573 0.3191 0.4845  1 C 1.10
H 0.3199 0.9962 0.2999  1 C 1.11
H 0.4150 0.4651 0.1701  1 C 1.11
H 0.4402 0.8145 0.7445  1 C 1.10
H 0.1087 0.8716 0.2424  1 C 1.09
H 0.1643 0.4175 0.6244  1 C 1.10
H 0.3516 0.5438 0.1902  1 C 1.11
H 0.6427 0.8191 0.0155  1 C 1.10
H 0.6278 0.0100 0.2022  1 C 1.11
C 0.0535 0.9757 0.5832  2 H 1.10-1.11
Si 0.3353 0.7595 0.8317  2 C 1.91
O 0.1382 0.5298 0.1334  2 C 1.43
C 0.2351 0.4204 0.8435  2 H 1.10-1.11
H 0.0755 0.6401 0.4903  1 C 1.10
O 0.9068 0.4890 0.3587  2 C 1.43
H 0.6120 0.4230 0.0983  1 C 1.10
H 0.5708 0.5688 0.7259  1 C 1.11
H 0.1061 0.7538 0.1695  1 C 1.10
H 0.8357 0.9175 0.8756  1 C 1.10
H 0.3658 0.4029 0.5068  1 C 1.10
C 0.6006 0.8531 0.9824  3 H 1.10
H 0.4183 0.5933 0.5867  1 C 1.10
H 0.5703 0.4611 0.0280  1 C 1.10
H 0.1544 0.4378 0.4387  1 C 1.11
C 0.8285 0.7520 0.2908  3 H 1.10
H 0.2771 0.9288 0.4608  1 C 1.10
H 0.9496 0.2110 0.9635  1 C 1.10
H 0.5513 0.1961 0.4062  1 C 1.10
H 0.9998 0.3123 0.8209  1 C 1.10
H 0.0300 0.1192 0.4007  1 C 1.10
H 0.7847 0.6320 0.1658  1 C 1.10
H 0.3880 0.9230 0.4017  1 C 1.10
H 0.8456 0.5622 0.5613  1 C 1.11
O 0.8320 0.5327 0.6518  2 C 1.43
C 0.9501 0.1724 0.5573  3 H 1.10
C 0.7158 0.5271 0.3150  2 H 1.11
C 0.1715 0.2480 0.7092  3 H 1.10
Si 0.6578 0.2459 0.0595  4 Si 2.37-2.39
C 0.0499 0.6724 0.9427  3 H 1.10
H 0.6278 0.4900 0.7022  1 C 1.11
C 0.6299 0.3239 0.2038  3 H 1.10
O 0.0932 0.5110 0.6413  2 C 1.43
H 0.0597 0.8440 0.4903  1 C 1.10
H 0.3655 0.1601 0.0630  1 C 1.10
C 0.3898 0.1576 0.5271  3 H 1.10
K 0.9627 0.0312 0.2456  6 O 2.80-2.93
C 0.7568 0.9877 0.3749  2 H 1.10-1.11
H 0.4387 0.8670 0.8095  1 C 1.10
H 0.4297 0.9611 0.4720  1 C 1.10
H 0.3516 0.9562 0.6902  1 C 1.11
H 0.5887 0.4705 0.5280  1 C 1.10
O 0.1222 0.4554 0.8539  2 C 1.43
C 0.3280 0.0081 0.6802  2 H 1.11
H 0.2153 0.3680 0.8342  1 C 1.10
C 0.9589 0.3516 0.2260  2 H 1.09
C 0.9909 0.0114 0.9094  2 H 1.11
C 0.3011 0.4513 0.7904  2 H 1.11
H 0.1197 0.4360 0.9472  1 C 1.11
C 0.6989 0.5487 0.2096  2 H 1.11
Si 0.9968 0.7346 0.7685  3 C 1.82-1.90
O 0.8618 0.4702 0.8666  2 C 1.43
C 0.9038 0.5582 0.6031  2 H 1.11
H 0.9438 0.7669 0.1571  1 C 1.10
C 0.6102 0.8424 0.4729  3 H 1.10
Si 0.0032 0.2654 0.2315  3 C 1.82-1.90
H 0.4183 0.9067 0.0867  1 C 1.10
H 0.2952 0.9968 0.5844  1 C 1.11
C 0.5888 0.1530 0.4303  3 H 1.10
O 0.9068 0.0110 0.8587  2 C 1.43
H 0.3942 0.5691 0.4000  1 C 1.10
H 0.6572 0.8044 0.5002  1 C 1.10
C 0.0411 0.8516 0.2740  2 H 1.09
C 0.0584 0.0674 0.4065  2 H 1.10-1.11
C 0.3701 0.8239 0.2962  3 H 1.10
H 0.7048 0.4968 0.9156  1 C 1.11
C 0.2842 0.4729 0.6850  2 H 1.11
O 0.7331 0.5372 0.7694  2 C 1.42-1.43
H 0.0562 0.2331 0.8429  1 C 1.10
H 0.7532 0.5158 0.4102  1 C 1.11
C 0.3681 0.9285 0.9481  3 H 1.10
C 0.9038 0.9418 0.1031  2 H 1.11
H 0.9438 0.7331 0.6571  1 C 1.10
H 0.4387 0.6330 0.3095  1 C 1.10
H 0.7048 0.0032 0.4156  1 C 1.11
H 0.5495 0.6987 0.3050  1 C 1.10
H 0.6342 0.9029 0.9932  1 C 1.10
H 0.2666 0.5661 0.4501  1 C 1.10
C 0.9589 0.1484 0.7260  2 H 1.09
Si 0.9968 0.7654 0.2685  3 C 1.82-1.90
C 0.3011 0.0487 0.2904  2 H 1.11
C 0.2432 0.0123 0.6251  2 H 1.10-1.11
H 0.8008 0.7003 0.2855  1 C 1.10
H 0.8008 0.7997 0.7855  1 C 1.10
C 0.2842 0.0271 0.1850  2 H 1.11
H 0.2967 0.0764 0.3841  1 C 1.11
O 0.8320 0.9673 0.1518  2 C 1.43
H 0.2468 0.0158 0.0898  1 C 1.11
H 0.6352 0.8347 0.4251  1 C 1.10
H 0.4402 0.6855 0.2445  1 C 1.10
H 0.3428 0.3044 0.9998  1 C 1.10
H 0.0281 0.9614 0.9175  1 C 1.11
C 0.3994 0.1469 0.0176  3 H 1.10
H 0.6484 0.0438 0.3098  1 C 1.11
C 0.3994 0.3531 0.5176  3 H 1.10
H 0.6924 0.3611 0.1851  1 C 1.10
H 0.9003 0.0405 0.4590  1 C 1.11
H 0.9719 0.4614 0.5825  1 C 1.11
H 0.9998 0.1877 0.3209  1 C 1.10
C 0.0386 0.6904 0.4905  3 H 1.10
H 0.0281 0.5386 0.4175  1 C 1.11
H 0.3087 0.9752 0.1941  1 C 1.11
H 0.6297 0.5545 0.3254  1 C 1.11
H 0.6058 0.4309 0.6000  1 C 1.10
Si 0.4357 0.8403 0.4845  3 C 1.90
H 0.4679 0.8381 0.3040  1 C 1.10
H 0.9055 0.1370 0.5876  1 C 1.10
H 0.5613 0.3670 0.6905  1 C 1.10
C 0.6006 0.6469 0.4824  3 H 1.10
H 0.3341 0.4223 0.3744  1 C 1.11
H 0.5321 0.3381 0.1960  1 C 1.10
C 0.6241 0.0794 0.5488  3 H 1.10
C 0.5467 0.1838 0.2056  3 H 1.10
H 0.1643 0.0825 0.1244  1 C 1.10
H 0.0317 0.6207 0.8163  1 C 1.09
C 0.6319 0.4285 0.5519  3 H 1.10
C 0.5888 0.3470 0.9303  3 H 1.10
H 0.6474 0.6095 0.9874  1 C 1.10
C 0.0091 0.9886 0.0906  2 H 1.11
C 0.4112 0.8470 0.5697  3 H 1.10
H 0.6659 0.9223 0.1256  1 C 1.11
C 0.8285 0.7480 0.7908  3 H 1.10
H 0.2771 0.5712 0.9608  1 C 1.10
H 0.5598 0.3145 0.7555  1 C 1.10
C 0.0386 0.8096 0.9905  3 H 1.10
H 0.8357 0.5825 0.3756  1 C 1.10
Si 0.8713 0.3003 0.6686  3 Si 2.37-2.38
Si 0.4357 0.6597 0.9845  3 C 1.90
H 0.9382 0.6882 0.4799  1 C 1.10
H 0.4150 0.0349 0.6701  1 C 1.11
H 0.5495 0.8013 0.8050  1 C 1.10
Si 0.5643 0.1597 0.5155  3 C 1.90
H 0.2117 0.4366 0.1185  1 C 1.10
H 0.4487 0.8039 0.5938  1 C 1.10
K 0.9627 0.4688 0.7456  6 O 2.80-2.93
Si 0.8713 0.1997 0.1686  3 Si 2.37-2.38
H 0.3526 0.3905 0.0126  1 C 1.10
H 0.6913 0.0248 0.8059  1 C 1.11
C 0.3441 0.0401 0.7837  2 H 1.11
Si 0.5756 0.1497 0.0138  3 C 1.89-1.90
H 0.0595 0.3925 0.3854  1 C 1.11
H 0.9683 0.3793 0.1837  1 C 1.09
H 0.2117 0.0634 0.6185  1 C 1.10
H 0.7033 0.5764 0.1159  1 C 1.11
C 0.0411 0.6484 0.7740  2 H 1.09
H 0.2816 0.8586 0.0764  1 C 1.10
H 0.6352 0.6653 0.9251  1 C 1.10
H 0.8913 0.3716 0.2576  1 C 1.09
H 0.5703 0.0389 0.5280  1 C 1.10
H 0.6913 0.4752 0.3059  1 C 1.11
C 0.7158 0.9729 0.8150  2 H 1.11
H 0.3199 0.5038 0.7999  1 C 1.11
C 0.6299 0.1761 0.7038  3 H 1.10
C 0.0535 0.5243 0.0832  2 H 1.10-1.11
H 0.0597 0.6560 0.9903  1 C 1.10
C 0.9614 0.1904 0.0095  3 H 1.10
H 0.2666 0.9339 0.9501  1 C 1.10
H 0.9055 0.3630 0.0876  1 C 1.10
H 0.3648 0.3347 0.0749  1 C 1.10
C 0.3826 0.8594 0.0694  3 H 1.10
C 0.9909 0.4886 0.4094  2 H 1.11
H 0.3076 0.6389 0.8149  1 C 1.10
H 0.0239 0.4726 0.0774  1 C 1.10
H 0.0997 0.5405 0.0410  1 C 1.11
H 0.1870 0.2339 0.6615  1 C 1.10
H 0.6875 0.1483 0.4185  1 C 1.10
H 0.4297 0.5389 0.9720  1 C 1.10
Si 0.4244 0.6497 0.4862  3 C 1.89-1.90
H 0.0504 0.7110 0.5365  1 C 1.10
C 0.9872 0.2592 0.8144  3 H 1.10
O 0.2254 0.4451 0.7369  2 C 1.43
H 0.6572 0.6956 0.0002  1 C 1.10
O 0.1680 0.4673 0.3482  2 C 1.43
H 0.5513 0.3039 0.9062  1 C 1.10
C 0.6559 0.9599 0.2163  2 H 1.11
H 0.6659 0.5777 0.6256  1 C 1.11
H 0.6474 0.8905 0.4874  1 C 1.10
H 0.5613 0.1330 0.1905  1 C 1.10
H 0.4113 0.5295 0.4720  1 C 1.10
H 0.8939 0.2462 0.8305  1 C 1.10
C 0.3681 0.5715 0.4481  3 H 1.10
H 0.2153 0.1320 0.3342  1 C 1.10
C 0.4533 0.8162 0.7944  3 H 1.10
H 0.7229 0.0712 0.5392  1 C 1.10
H 0.7033 0.9236 0.6159  1 C 1.11
H 0.6875 0.3517 0.9185  1 C 1.10
O 0.7746 0.9451 0.7631  2 C 1.43
H 0.5397 0.3908 0.9127  1 C 1.10
H 0.0562 0.2669 0.3429  1 C 1.10
C 0.0962 0.4418 0.3969  2 H 1.11
C 0.6720 0.9919 0.3198  2 H 1.11
C 0.3759 0.9206 0.4512  3 H 1.10
H 0.9245 0.3599 0.5097  1 C 1.10
Si 0.8787 0.2572 0.5684  2 C 1.91
H 0.7883 0.9366 0.3815  1 C 1.10
H 0.7229 0.4288 0.0392  1 C 1.10
H 0.3908 0.4258 0.7836  1 C 1.11
H 0.4505 0.3013 0.6950  1 C 1.10
C 0.3826 0.6406 0.5694  3 H 1.10
H 0.2952 0.5032 0.0844  1 C 1.11
O 0.8778 0.5446 0.1461  2 C 1.43
H 0.0755 0.8599 0.9903  1 C 1.10
O 0.7331 0.9628 0.2694  2 C 1.42-1.43
C 0.2725 0.0728 0.8340  2 H 1.11
H 0.5887 0.0295 0.0280  1 C 1.10
H 0.0500 0.1744 0.5689  1 C 1.10
C 0.3701 0.6761 0.7962  3 H 1.10
C 0.0962 0.0582 0.8969  2 H 1.11
H 0.4292 0.0688 0.7741  1 C 1.11
O 0.2254 0.0549 0.2369  2 C 1.43
H 0.0595 0.1075 0.8854  1 C 1.11
H 0.4241 0.8202 0.0973  1 C 1.10
Si 0.6647 0.2405 0.1683  2 C 1.91
H 0.3722 0.5100 0.2978  1 C 1.11
H 0.3428 0.1956 0.4998  1 C 1.10
O 0.8778 0.9554 0.6461  2 C 1.43
H 0.9719 0.0386 0.0825  1 C 1.11
Si 0.1287 0.8003 0.8314  3 Si 2.37-2.38
C 0.6319 0.0715 0.0519  3 H 1.10
H 0.4292 0.4312 0.2741  1 C 1.11
K 0.0373 0.9688 0.7544  6 O 2.80-2.93
Si 0.1213 0.7428 0.4316  2 C 1.91
C 0.2351 0.0796 0.3435  2 H 1.10-1.11
O 0.1680 0.0327 0.8482  2 C 1.43
C 0.6720 0.5081 0.8198  2 H 1.11
H 0.1992 0.2003 0.2145  1 C 1.10
H 0.4603 0.6092 0.0873  1 C 1.10
H 0.9245 0.1401 0.0097  1 C 1.10
C 0.8034 0.9686 0.8689  2 H 1.10-1.11
Si 0.3422 0.7459 0.4405  4 Si 2.37-2.39
H 0.1197 0.0640 0.4472  1 C 1.11
H 0.2328 0.2175 0.7382  1 C 1.10
H 0.3076 0.8611 0.3149  1 C 1.10
H 0.9003 0.4595 0.9590  1 C 1.11
H 0.5321 0.1619 0.6960  1 C 1.10
H 0.8803 0.9360 0.5528  1 C 1.11
H 0.3703 0.0545 0.1746  1 C 1.11
C 0.9416 0.5674 0.0935  2 H 1.10-1.11
Si 0.1287 0.6997 0.3314  3 Si 2.37-2.38
C 0.1715 0.2520 0.2092  3 H 1.10
O 0.2669 0.0372 0.7306  2 C 1.42-1.43
H 0.9496 0.2890 0.4635  1 C 1.10
H 0.6058 0.0691 0.1000  1 C 1.10
C 0.3898 0.3424 0.0271  3 H 1.10
H 0.3880 0.5770 0.9017  1 C 1.10
H 0.1087 0.6284 0.7424  1 C 1.09
H 0.6345 0.8399 0.9370  1 C 1.10
Si 0.5756 0.3503 0.5138  3 C 1.89-1.90
H 0.9500 0.6744 0.9311  1 C 1.10
H 0.7847 0.8680 0.6658  1 C 1.10
H 0.5759 0.1798 0.9027  1 C 1.10
H 0.9761 0.5274 0.9226  1 C 1.10
H 0.6427 0.6809 0.5155  1 C 1.10
H 0.4679 0.6619 0.8040  1 C 1.10
H 0.6476 0.1788 0.7533  1 C 1.10
H 0.0997 0.9595 0.5410  1 C 1.11
C 0.7568 0.5123 0.8749  2 H 1.10-1.11
H 0.2468 0.4842 0.5898  1 C 1.11
O 0.7746 0.5549 0.2631  2 C 1.43
H 0.3658 0.0971 0.0068  1 C 1.10
H 0.2328 0.2825 0.2382  1 C 1.10
H 0.3125 0.8517 0.5815  1 C 1.10
C 0.7649 0.9204 0.6565  2 H 1.10-1.11
H 0.7588 0.6222 0.6805  1 C 1.11
H 0.9700 0.8808 0.5993  1 C 1.10
H 0.8803 0.5640 0.0528  1 C 1.11
H 0.2816 0.6414 0.5764  1 C 1.10
H 0.4487 0.6961 0.0938  1 C 1.10
Si 0.4244 0.8503 0.9862  3 C 1.89-1.90
C 0.4112 0.6530 0.0697  3 H 1.10
C 0.6174 0.1406 0.9306  3 H 1.10
H 0.9405 0.6075 0.6146  1 C 1.11
H 0.0500 0.3256 0.0689  1 C 1.10
C 0.4533 0.6838 0.2944  3 H 1.10
H 0.1544 0.0622 0.9387  1 C 1.11
H 0.3526 0.1095 0.5126  1 C 1.10
H 0.0504 0.7890 0.0365  1 C 1.10
C 0.3280 0.4919 0.1802  2 H 1.11
H 0.7184 0.3586 0.4236  1 C 1.10
H 0.7883 0.5634 0.8815  1 C 1.10
H 0.3648 0.1653 0.5749  1 C 1.10
H 0.6801 0.4962 0.2001  1 C 1.11
H 0.5708 0.9312 0.2259  1 C 1.11
C 0.6989 0.9513 0.7096  2 H 1.11
C 0.6102 0.6576 0.9729  3 H 1.10
O 0.0932 0.9890 0.1413  2 C 1.43
H 0.7334 0.4339 0.5499  1 C 1.10
H 0.4505 0.1987 0.1950  1 C 1.10
Si 0.8787 0.2428 0.0684  2 C 1.91
H 0.0239 0.0274 0.5774  1 C 1.10
H 0.3722 0.9900 0.7978  1 C 1.11
H 0.7184 0.1414 0.9236  1 C 1.10
C 0.0499 0.8276 0.4427  3 H 1.10
C 0.7275 0.5728 0.6660  2 H 1.11
H 0.2412 0.3778 0.3195  1 C 1.11
H 0.5850 0.9651 0.3299  1 C 1.11
H 0.3524 0.6788 0.7467  1 C 1.10
H 0.6924 0.1389 0.6851  1 C 1.10
C 0.6241 0.4206 0.0488  3 H 1.10
Si 0.6647 0.2595 0.6683  2 C 1.91
H 0.4241 0.6798 0.5973  1 C 1.10
H 0.9700 0.6192 0.0993  1 C 1.10
Si 0.0032 0.2346 0.7315  3 C 1.82-1.90
H 0.3703 0.4455 0.6746  1 C 1.11
C 0.8034 0.5314 0.3689  2 H 1.10-1.11
H 0.8130 0.7339 0.8385  1 C 1.10
H 0.8456 0.9378 0.0613  1 C 1.11
H 0.5817 0.0933 0.9133  1 C 1.10
H 0.0618 0.3118 0.5201  1 C 1.10
C 0.0128 0.7408 0.1856  3 H 1.10
C 0.7649 0.5796 0.1565  2 H 1.10-1.11
H 0.2967 0.4236 0.8841  1 C 1.11
H 0.0300 0.3808 0.9007  1 C 1.10
H 0.6342 0.5971 0.4932  1 C 1.10
H 0.0945 0.8630 0.4124  1 C 1.10
C 0.0128 0.7592 0.6856  3 H 1.10
H 0.8130 0.7661 0.3385  1 C 1.10
H 0.3573 0.1809 0.9845  1 C 1.10
O 0.1222 0.0446 0.3539  2 C 1.43
H 0.1992 0.2997 0.7145  1 C 1.10
H 0.5817 0.4067 0.4133  1 C 1.10
C 0.9465 0.4757 0.9168  2 H 1.10-1.11
H 0.9761 0.9726 0.4226  1 C 1.10
H 0.9415 0.0280 0.9506  1 C 1.11
O 0.8618 0.0298 0.3666  2 C 1.43
H 0.7334 0.0661 0.0499  1 C 1.10
C 0.2725 0.4272 0.3340  2 H 1.11
H 0.3908 0.0742 0.2836  1 C 1.11
Si 0.3353 0.7405 0.3317  2 C 1.91
C 0.6174 0.3594 0.4306  3 H 1.10
H 0.5598 0.1855 0.2555  1 C 1.10
C 0.9614 0.3096 0.5095  3 H 1.10
H 0.7532 0.9842 0.9102  1 C 1.11
C 0.5467 0.3162 0.7056  3 H 1.10
C 0.9872 0.2408 0.3144  3 H 1.10
O 0.1382 0.9702 0.6334  2 C 1.43
H 0.2412 0.1222 0.8195  1 C 1.11
C 0.0091 0.5114 0.5906  2 H 1.11
C 0.7275 0.9272 0.1660  2 H 1.11
H 0.9405 0.8925 0.1146  1 C 1.11
H 0.0317 0.8793 0.3163  1 C 1.09
H 0.6476 0.3212 0.2533  1 C 1.10
Si 0.6578 0.2541 0.5595  4 Si 2.37-2.39
H 0.3942 0.9309 0.9000  1 C 1.10
H 0.6484 0.4562 0.8098  1 C 1.11
H 0.9382 0.8118 0.9799  1 C 1.10
K 0.0373 0.5312 0.2544  6 O 2.80-2.93
C 0.3441 0.4599 0.2837  2 H 1.11
H 0.6092 0.9258 0.7164  1 C 1.11
H 0.0002 0.6877 0.1791  1 C 1.10
C 0.9416 0.9326 0.5935  2 H 1.10-1.11
C 0.9501 0.3276 0.0573  3 H 1.10
H 0.0002 0.8123 0.6791  1 C 1.10
H 0.7672 0.7175 0.7618  1 C 1.10
H 0.5850 0.5349 0.8299  1 C 1.11
H 0.5759 0.3202 0.4027  1 C 1.10
H 0.9500 0.8256 0.4311  1 C 1.10
H 0.4113 0.9705 0.9720  1 C 1.10
H 0.6297 0.9455 0.8254  1 C 1.11
H 0.9683 0.1207 0.6837  1 C 1.09
H 0.3125 0.6483 0.0815  1 C 1.10
H 0.6801 0.0038 0.7001  1 C 1.11
H 0.6345 0.6601 0.4370  1 C 1.10
H 0.0945 0.6370 0.9124  1 C 1.10
H 0.8913 0.1284 0.7576  1 C 1.09
Si 0.5643 0.3403 0.0155  3 C 1.90
Si 0.3422 0.7541 0.9405  4 Si 2.37-2.39
H 0.3524 0.8212 0.2467  1 C 1.10
H 0.0585 0.5280 0.5494  1 C 1.11

Energy of formation from the pure elements = -0.26 eV per atom
Symmetry = P2_1/c (14)